A plane-wave DFT calculation with r²SCAN was carried out for a relaxed LaIn4Au2 crystal.

calculated density = 10013 kg/m3
total magnetic moment = 0.0 μB/cell
crystal system = orthorhombic
formation energy = -0.566 eV per atom
total DFT energy (no corrections) = -32.17 eV/atom
space-group type = No. 62

Cell lengths 4.7167, 7.4820, 18.6480 Å; angles 90.00, 90.00, 90.00 degrees
Closest atoms and distances in Å follow each position.
Sites, in units of the cell vectors:
Au 0.2500 0.7435 0.0365  7 In 2.81-3.00
In 0.2500 0.1444 0.5352  3 Au 2.81-2.90, 1 In 3.03
In 0.7500 0.5191 0.5663  4 Au 2.81-3.00, 1 In 3.15
In 0.2500 0.2692 0.6895  3 Au 2.84-2.85, 2 In 3.03-3.05
Au 0.2500 0.9689 0.7834  7 In 2.83-2.89
In 0.7500 0.7692 0.8105  3 Au 2.84-2.85, 2 In 3.03-3.05
Au 0.7500 0.0311 0.2166  7 In 2.83-2.89
Au 0.2500 0.7565 0.5365  7 In 2.81-3.00
La 0.7500 0.5209 0.1415  10 In 3.32-3.72, 4 Au 3.49-3.55
In 0.2500 0.0191 0.9337  4 Au 2.81-3.00, 1 In 3.15
In 0.2500 0.2308 0.1895  3 Au 2.84-2.85, 2 In 3.03-3.05
In 0.7500 0.6444 0.9648  3 Au 2.81-2.90, 1 In 3.03
Au 0.2500 0.5311 0.2834  7 In 2.83-2.89
In 0.7500 0.7308 0.3105  3 Au 2.84-2.85, 2 In 3.03-3.05
In 0.2500 0.3556 0.0352  3 Au 2.81-2.90, 1 In 3.03
In 0.2500 0.8238 0.1841  4 Au 2.82-2.89, 1 In 3.05
La 0.2500 0.4791 0.8585  10 In 3.32-3.72, 4 Au 3.49-3.55
Au 0.7500 0.2435 0.4635  7 In 2.81-3.00
In 0.7500 0.1762 0.8159  4 Au 2.82-2.89, 1 In 3.05
In 0.7500 0.9809 0.0663  4 Au 2.81-3.00, 1 In 3.15
In 0.7500 0.3238 0.3159  4 Au 2.82-2.89, 1 In 3.05
In 0.2500 0.6762 0.6841  4 Au 2.82-2.89, 1 In 3.05
La 0.7500 0.9791 0.6415  10 In 3.32-3.72, 4 Au 3.49-3.55
Au 0.7500 0.4689 0.7166  7 In 2.83-2.89
In 0.2500 0.4809 0.4337  4 Au 2.81-3.00, 1 In 3.15
La 0.2500 0.0209 0.3585  10 In 3.32-3.72, 4 Au 3.49-3.55
Au 0.7500 0.2565 0.9635  7 In 2.81-3.00
In 0.7500 0.8556 0.4648  3 Au 2.81-2.90, 1 In 3.03